MoAsO5: optimized geometry, PBE+U.

* total energy: -179.84 eV for the cell shown
* symmetry: P2_12_12_1
* energy of formation from the pure elements: -1095 kJ/mol of formula units

a = 6.6321 Å, b = 7.6952 Å, c = 7.8453 Å
α = 90.00°, β = 90.00°, γ = 90.00°
Atoms (fractional coordinates):
Mo: 0.2018 0.2326 0.4740
Mo: 0.2982 0.7674 0.9740
Mo: 0.7018 0.2674 0.5260
Mo: 0.7982 0.7326 0.0260
As: 0.0051 0.6268 0.6624
As: 0.4949 0.3732 0.1624
As: 0.5051 0.8732 0.3376
As: 0.9949 0.1268 0.8376
O: 0.0169 0.1244 0.3668
O: 0.0249 0.9054 0.9249
O: 0.0429 0.7750 0.5157
O: 0.2033 0.5891 0.8077
O: 0.2108 0.1336 0.7085
O: 0.2892 0.8664 0.2085
O: 0.2967 0.4109 0.3077
O: 0.4571 0.2250 0.0157
O: 0.4751 0.0946 0.4249
O: 0.4831 0.8756 0.8668
O: 0.5169 0.3756 0.6332
O: 0.5249 0.5946 0.0751
O: 0.5429 0.7250 0.4843
O: 0.7033 0.9109 0.1923
O: 0.7108 0.3664 0.2915
O: 0.7892 0.6336 0.7915
O: 0.7967 0.0891 0.6923
O: 0.9571 0.2750 0.9843
O: 0.9751 0.4054 0.5751
O: 0.9831 0.6244 0.1332


LiCoPO4: optimized geometry, PBE+U.

* total energy: -368.76 eV for the cell shown
* symmetry: P2_1/c
* polymorph energy (0 for the lowest one): 1.97 kcal/mol of atoms
* energy of formation from the pure elements: -1569 kJ/mol of formula units

a = 7.5855 Å, b = 4.8468 Å, c = 17.4493 Å
α = 90.00°, β = 92.79°, γ = 90.00°
Atoms (fractional coordinates):
Li: 0.1258 0.2020 0.2252
Li: 0.1258 0.2980 0.7252
Li: 0.3522 0.7153 0.9895
Li: 0.3522 0.7847 0.4895
Li: 0.6478 0.2153 0.5105
Li: 0.6478 0.2847 0.0105
Li: 0.8742 0.7020 0.2748
Li: 0.8742 0.7980 0.7748
Co: 0.0265 0.2249 0.9027
Co: 0.0265 0.2751 0.4027
Co: 0.4926 0.1249 0.3235
Co: 0.4926 0.3751 0.8235
Co: 0.5074 0.6249 0.1765
Co: 0.5074 0.8751 0.6765
Co: 0.9735 0.7249 0.5973
Co: 0.9735 0.7751 0.0973
P: 0.2285 0.1919 0.5693
P: 0.2285 0.3081 0.0693
P: 0.2557 0.6264 0.3249
P: 0.2557 0.8736 0.8249
P: 0.7443 0.1264 0.1751
P: 0.7443 0.3736 0.6751
P: 0.7715 0.6919 0.9307
P: 0.7715 0.8081 0.4307
O: 0.0781 0.0147 0.7989
O: 0.0781 0.4853 0.2989
O: 0.1169 0.0554 0.6312
O: 0.1169 0.4446 0.1312
O: 0.1721 0.0931 0.4874
O: 0.1721 0.4069 0.9874
O: 0.2165 0.5095 0.5783
O: 0.2165 0.9905 0.0783
O: 0.2547 0.5602 0.8074
O: 0.2547 0.9398 0.3074
O: 0.2853 0.5441 0.4090
O: 0.2853 0.9559 0.9090
O: 0.4087 0.0075 0.7776
O: 0.4087 0.4925 0.2776
O: 0.4228 0.0741 0.5822
O: 0.4228 0.4259 0.0822
O: 0.5772 0.5741 0.9178
O: 0.5772 0.9259 0.4178
O: 0.5913 0.5075 0.7224
O: 0.5913 0.9925 0.2224
O: 0.7147 0.0441 0.0910
O: 0.7147 0.4559 0.5910
O: 0.7453 0.0602 0.6926
O: 0.7453 0.4398 0.1926
O: 0.7835 0.0095 0.9217
O: 0.7835 0.4905 0.4217
O: 0.8279 0.5931 0.0126
O: 0.8279 0.9069 0.5126
O: 0.8831 0.5554 0.8688
O: 0.8831 0.9446 0.3688
O: 0.9219 0.5147 0.7011
O: 0.9219 0.9853 0.2011


VZnF5: optimized geometry, PBE+U.

* total energy: -144.97 eV for the cell shown
* symmetry: P2_1/c
* polymorph energy (0 for the lowest one): 0.18 kcal/mol of atoms
* energy of formation from the pure elements: -1962 kJ/mol of formula units

a = 5.2180 Å, b = 9.8925 Å, c = 7.6264 Å
α = 90.00°, β = 110.16°, γ = 90.00°
Atoms (fractional coordinates):
V: 0.0991 0.2465 0.3955
V: 0.0991 0.2535 0.8955
V: 0.9009 0.7465 0.1045
V: 0.9009 0.7535 0.6045
Zn: 0.4821 0.0065 0.7519
Zn: 0.4821 0.4935 0.2519
Zn: 0.5179 0.5065 0.7481
Zn: 0.5179 0.9935 0.2481
F: 0.1459 0.1829 0.6578
F: 0.1459 0.3171 0.1578
F: 0.1465 0.5965 0.2071
F: 0.1465 0.9035 0.7071
F: 0.2210 0.6372 0.6534
F: 0.2210 0.8628 0.1534
F: 0.3499 0.1072 0.0048
F: 0.3499 0.3928 0.5048
F: 0.3925 0.1143 0.4227
F: 0.3925 0.3857 0.9227
F: 0.6075 0.6143 0.0773
F: 0.6075 0.8857 0.5773
F: 0.6501 0.6072 0.4952
F: 0.6501 0.8928 0.9952
F: 0.7790 0.1372 0.8466
F: 0.7790 0.3628 0.3466
F: 0.8535 0.0965 0.2929
F: 0.8535 0.4035 0.7929
F: 0.8541 0.6829 0.8422
F: 0.8541 0.8171 0.3422


LiMn6O4F8: optimized geometry, PBE+U.

* total energy: -123.62 eV for the cell shown
* symmetry: P1
* polymorph energy (0 for the lowest one): 0.00 kcal/mol of atoms
* energy of formation from the pure elements: -4639 kJ/mol of formula units

a = 5.0526 Å, b = 5.9191 Å, c = 7.9676 Å
α = 85.27°, β = 85.88°, γ = 84.60°
Atoms (fractional coordinates):
Li: 0.0000 0.0000 0.0000
Mn: 0.0010 0.9746 0.5215
Mn: 0.1440 0.3230 0.1965
Mn: 0.4928 0.8143 0.1950
Mn: 0.5046 0.1217 0.8428
Mn: 0.5233 0.4766 0.5044
Mn: 0.9802 0.6014 0.8436
O: 0.1760 0.9985 0.2658
O: 0.1869 0.3020 0.9527
O: 0.3631 0.5359 0.2736
O: 0.8235 0.9437 0.7730
F: 0.1891 0.6559 0.6127
F: 0.3266 0.8288 0.9377
F: 0.3453 0.1636 0.6081
F: 0.6515 0.0970 0.0894
F: 0.6768 0.4221 0.7524
F: 0.6873 0.7997 0.4312
F: 0.8380 0.6503 0.0963
F: 0.8860 0.3158 0.4121


MgFe4As2O11: optimized geometry, PBE+U.

* total energy: -113.74 eV for the cell shown
* symmetry: P1
* polymorph energy (0 for the lowest one): 0.70 kcal/mol of atoms
* energy of formation from the pure elements: -3000 kJ/mol of formula units

a = 5.4220 Å, b = 6.5956 Å, c = 6.9531 Å
α = 109.40°, β = 105.15°, γ = 96.28°
Atoms (fractional coordinates):
Mg: 0.0000 0.0000 0.0000
Fe: 0.3044 0.4795 0.1894
Fe: 0.5060 0.0723 0.8729
Fe: 0.7233 0.5727 0.9811
Fe: 0.9912 0.2251 0.6895
As: 0.3307 0.0201 0.3525
As: 0.9676 0.6393 0.5276
O: 0.0671 0.1168 0.4150
O: 0.0855 0.9162 0.7221
O: 0.1762 0.7661 0.1466
O: 0.2393 0.5729 0.4726
O: 0.3554 0.3373 0.8863
O: 0.3897 0.1590 0.1879
O: 0.5817 0.0407 0.5709
O: 0.6456 0.8465 0.9313
O: 0.7191 0.6265 0.3105
O: 0.8654 0.4899 0.6675
O: 0.8765 0.2717 0.9598


Li2FeP4O12: optimized geometry, PBE+U.

* total energy: -527.67 eV for the cell shown
* symmetry: Pnma
* polymorph energy (0 for the lowest one): 0.00 kcal/mol of atoms
* energy of formation from the pure elements: -4738 kJ/mol of formula units

a = 9.4920 Å, b = 9.3919 Å, c = 10.1397 Å
α = 90.00°, β = 90.00°, γ = 90.00°
Atoms (fractional coordinates):
Li: 0.0033 0.1029 0.1703
Li: 0.0033 0.3971 0.1703
Li: 0.4967 0.6029 0.6703
Li: 0.4967 0.8971 0.6703
Li: 0.5033 0.1029 0.3297
Li: 0.5033 0.3971 0.3297
Li: 0.9967 0.6029 0.8297
Li: 0.9967 0.8971 0.8297
Fe: 0.0126 0.2500 0.8028
Fe: 0.4874 0.7500 0.3028
Fe: 0.5126 0.2500 0.6972
Fe: 0.9874 0.7500 0.1972
P: 0.1946 0.7500 0.6032
P: 0.2066 0.5357 0.3862
P: 0.2066 0.9643 0.3862
P: 0.2265 0.2500 0.5199
P: 0.2735 0.7500 0.0199
P: 0.2934 0.0357 0.8862
P: 0.2934 0.4643 0.8862
P: 0.3054 0.2500 0.1032
P: 0.6946 0.7500 0.8968
P: 0.7066 0.5357 0.1138
P: 0.7066 0.9643 0.1138
P: 0.7265 0.2500 0.9801
P: 0.7735 0.7500 0.4801
P: 0.7934 0.0357 0.6138
P: 0.7934 0.4643 0.6138
P: 0.8054 0.2500 0.3968
O: 0.1007 0.7500 0.7215
O: 0.1125 0.5663 0.2702
O: 0.1125 0.9337 0.2702
O: 0.1142 0.7500 0.0264
O: 0.1363 0.0572 0.8752
O: 0.1363 0.4428 0.8752
O: 0.1438 0.2500 0.6442
O: 0.1456 0.6169 0.5137
O: 0.1456 0.8831 0.5137
O: 0.1484 0.2500 0.1196
O: 0.1721 0.1246 0.4257
O: 0.1721 0.3754 0.4257
O: 0.3279 0.6246 0.9257
O: 0.3279 0.8754 0.9257
O: 0.3516 0.7500 0.6196
O: 0.3544 0.1169 0.0137
O: 0.3544 0.3831 0.0137
O: 0.3562 0.7500 0.1442
O: 0.3637 0.5572 0.3752
O: 0.3637 0.9428 0.3752
O: 0.3858 0.2500 0.5264
O: 0.3875 0.0663 0.7702
O: 0.3875 0.4337 0.7702
O: 0.3993 0.2500 0.2215
O: 0.6007 0.7500 0.7785
O: 0.6125 0.5663 0.2298
O: 0.6125 0.9337 0.2298
O: 0.6142 0.7500 0.4736
O: 0.6363 0.0572 0.6248
O: 0.6363 0.4428 0.6248
O: 0.6438 0.2500 0.8558
O: 0.6456 0.6169 0.9863
O: 0.6456 0.8831 0.9863
O: 0.6484 0.2500 0.3804
O: 0.6721 0.1246 0.0743
O: 0.6721 0.3754 0.0743
O: 0.8279 0.6246 0.5743
O: 0.8279 0.8754 0.5743
O: 0.8516 0.7500 0.8804
O: 0.8544 0.1169 0.4863
O: 0.8544 0.3831 0.4863
O: 0.8562 0.7500 0.3558
O: 0.8637 0.5572 0.1248
O: 0.8637 0.9428 0.1248
O: 0.8858 0.2500 0.9736
O: 0.8875 0.0663 0.7298
O: 0.8875 0.4337 0.7298
O: 0.8993 0.2500 0.2785


MoO4: optimized geometry, PBE+U.

* total energy: -60.08 eV for the cell shown
* symmetry: P-1
* polymorph energy (0 for the lowest one): 0.00 kcal/mol of atoms
* energy of formation from the pure elements: -516 kJ/mol of formula units

a = 3.7737 Å, b = 6.6902 Å, c = 7.7296 Å
α = 65.02°, β = 88.30°, γ = 74.74°
Atoms (fractional coordinates):
Mo: 0.2452 0.0374 0.2962
Mo: 0.7548 0.9626 0.7038
O: 0.0876 0.3840 0.3144
O: 0.1799 0.2062 0.0516
O: 0.2705 0.9379 0.6286
O: 0.3753 0.7605 0.3200
O: 0.6247 0.2395 0.6800
O: 0.7295 0.0621 0.3714
O: 0.8201 0.7938 0.9484
O: 0.9124 0.6160 0.6856


Mo4P5O24: optimized geometry, PBE+U.

* total energy: -472.64 eV for the cell shown
* symmetry: Cc
* energy of formation from the pure elements: -7373 kJ/mol of formula units

a = 9.5965 Å, b = 9.5965 Å, c = 15.4483 Å
α = 116.22°, β = 116.22°, γ = 52.67°
Atoms (fractional coordinates):
Mo: 0.0425 0.4352 0.7007
Mo: 0.1847 0.8153 0.5000
Mo: 0.2352 0.6266 0.1612
Mo: 0.4352 0.0425 0.2007
Mo: 0.4823 0.8627 0.8638
Mo: 0.6266 0.2352 0.6612
Mo: 0.8153 0.1847 0.0000
Mo: 0.8627 0.4823 0.3638
P: 0.0732 0.0885 0.7223
P: 0.0885 0.0732 0.2223
P: 0.1548 0.4976 0.2852
P: 0.1739 0.5202 0.5789
P: 0.4976 0.1548 0.7852
P: 0.5202 0.1739 0.0789
P: 0.5857 0.5954 0.1421
P: 0.5954 0.5857 0.6421
P: 0.7366 0.9338 0.4318
P: 0.9338 0.7366 0.9318
O: 0.0005 0.4906 0.2846
O: 0.0088 0.6222 0.8413
O: 0.0319 0.2830 0.7593
O: 0.0434 0.2891 0.5855
O: 0.0525 0.6542 0.0218
O: 0.0733 0.5899 0.6566
O: 0.0757 0.4422 0.4738
O: 0.0859 0.8992 0.1942
O: 0.0898 0.5941 0.2020
O: 0.1509 0.9928 0.6286
O: 0.1842 0.6666 0.5735
O: 0.1909 0.9369 0.4502
O: 0.2177 0.9814 0.8032
O: 0.2189 0.6094 0.3868
O: 0.2830 0.0319 0.2593
O: 0.2891 0.0434 0.0855
O: 0.3129 0.3231 0.7666
O: 0.3231 0.3129 0.2666
O: 0.3554 0.3658 0.1015
O: 0.3658 0.3554 0.6015
O: 0.3804 0.6302 0.2763
O: 0.3908 0.6332 0.1077
O: 0.4422 0.0757 0.9738
O: 0.4472 0.6872 0.5593
O: 0.4787 0.7405 0.9158
O: 0.4906 0.0005 0.7846
O: 0.5179 0.6816 0.7363
O: 0.5899 0.0733 0.1566
O: 0.5941 0.0898 0.7020
O: 0.5947 0.7621 0.1660
O: 0.6094 0.2189 0.8868
O: 0.6222 0.0088 0.3413
O: 0.6302 0.3804 0.7763
O: 0.6332 0.3908 0.6077
O: 0.6542 0.0525 0.5218
O: 0.6666 0.1842 0.0735
O: 0.6816 0.5179 0.2363
O: 0.6872 0.4472 0.0593
O: 0.7405 0.4787 0.4158
O: 0.7438 0.7670 0.9132
O: 0.7621 0.5947 0.6660
O: 0.7670 0.7438 0.4132
O: 0.8992 0.0859 0.6942
O: 0.9113 0.9262 0.9567
O: 0.9262 0.9113 0.4567
O: 0.9369 0.1909 0.9502
O: 0.9814 0.2177 0.3032
O: 0.9928 0.1509 0.1286


VO2F: optimized geometry, PBE+U.

* total energy: -162.44 eV for the cell shown
* symmetry: Cc
* piezoelectric modulus e_max: 4.377 C/m2
* energy of formation from the pure elements: -937 kJ/mol of formula units

a = 5.2733 Å, b = 5.2733 Å, c = 13.0849 Å
α = 91.55°, β = 91.55°, γ = 58.63°
Atoms (fractional coordinates):
V: 0.0148 0.9852 0.5000
V: 0.2864 0.3700 0.8351
V: 0.3700 0.2864 0.3351
V: 0.6282 0.7086 0.6685
V: 0.7086 0.6282 0.1685
V: 0.9852 0.0148 0.0000
O: 0.0135 0.4665 0.7461
O: 0.1085 0.7140 0.9127
O: 0.1393 0.2587 0.4113
O: 0.2587 0.1393 0.9113
O: 0.3656 0.9317 0.5786
O: 0.4421 0.6181 0.7427
O: 0.4665 0.0135 0.2461
O: 0.6181 0.4421 0.2427
O: 0.7140 0.1085 0.4127
O: 0.7840 0.9496 0.0765
O: 0.9317 0.3656 0.0786
O: 0.9496 0.7840 0.5765
F: 0.0371 0.6021 0.2472
F: 0.2912 0.6817 0.4128
F: 0.3599 0.7894 0.0789
F: 0.6021 0.0371 0.7472
F: 0.6817 0.2912 0.9128
F: 0.7894 0.3599 0.5789


- The lowest energy of formation from the pure elements belongs to which entry?
  Mo4P5O24


- Among the records above, which one has the lowest energy of formation from the pure elements?
  Mo4P5O24